Computed, not measured: a relaxed structure of TiFeH2 at the PBE-GGA level of DFT.

```
TiFeH2
1.0
2.8205 0.0000 0.0000
0.0000 4.7589 0.0000
0.0000 0.0000 4.5746
Ti Fe H
2 2 4
Direct
0.0000 0.2002 0.0000 Ti
0.0000 0.7998 0.5000 Ti
0.5000 0.3130 0.4997 Fe
0.5000 0.6870 0.9997 Fe
0.0000 0.4325 0.6596 H
0.0000 0.5675 0.1596 H
0.5000 0.0214 0.2629 H
0.5000 0.9786 0.7629 H
```

Properties
Total moment   0.00 μB per formula unit
Calculated formation energy   -1.3 eV/f.u.
SG   Pmc2_1, No. 26
Total energy after the MP2020 corrections   -6.1051 eV per atom

Computed, not measured: a relaxed structure of TiFeH2 at the PBE-GGA level of DFT.

```
TiFeH2
1.0
3.4890 -3.9094 0.0000
3.4890 3.9094 0.0000
0.0000 0.0000 2.6442
Ti Fe H
2 2 4
Direct
0.2181 0.2181 0.0000 Ti
0.7819 0.7819 0.0000 Ti
0.2661 0.7339 0.0000 Fe
0.7339 0.2661 0.0000 Fe
0.0000 0.0000 0.5000 H
0.0000 0.5000 0.0000 H
0.5000 0.0000 0.0000 H
0.5000 0.5000 0.0000 H
```

Properties
Total moment   1.59 μB per formula unit
Calculated formation energy   0.3 eV/f.u.
SG   Cmmm, No. 65
Total energy after the MP2020 corrections   -5.7235 eV per atom

Computed, not measured: a relaxed structure of Zr2FeH5 at the PBE-GGA level of DFT.

```
Zr2FeH5
1.0
6.9202 0.0000 0.0000
0.0000 6.9202 0.0000
0.0000 0.0000 5.6528
Zr Fe H
8 4 20
Direct
0.0883 0.5883 0.2500 Zr
0.0883 0.9117 0.7500 Zr
0.4117 0.5883 0.7500 Zr
0.4117 0.9117 0.2500 Zr
0.5883 0.0883 0.7500 Zr
0.5883 0.4117 0.2500 Zr
0.9117 0.0883 0.2500 Zr
0.9117 0.4117 0.7500 Zr
0.2500 0.2500 0.0123 Fe
0.2500 0.2500 0.5123 Fe
0.7500 0.7500 0.4877 Fe
0.7500 0.7500 0.9877 Fe
0.0366 0.1672 0.5729 H
0.0366 0.3328 0.0729 H
0.1672 0.0366 0.0729 H
0.1672 0.4634 0.5729 H
0.2500 0.7500 0.0000 H
0.2500 0.7500 0.5000 H
0.3328 0.0366 0.5729 H
0.3328 0.4634 0.0729 H
0.4634 0.1672 0.0729 H
0.4634 0.3328 0.5729 H
0.5366 0.6672 0.4271 H
0.5366 0.8328 0.9271 H
0.6672 0.5366 0.9271 H
0.6672 0.9634 0.4271 H
0.7500 0.2500 0.0000 H
0.7500 0.2500 0.5000 H
0.8328 0.5366 0.4271 H
0.8328 0.9634 0.9271 H
0.9634 0.6672 0.9271 H
0.9634 0.8328 0.4271 H
```

Properties
Calculated formation energy   -4.1 eV/f.u.
SG   P4/ncc, No. 130
Total energy after the MP2020 corrections   -5.8300 eV per atom

Computed, not measured: a relaxed structure of HfFe2 at the PBE-GGA level of DFT.

```
HfFe2
1.0
4.9381 0.0000 0.0000
-2.4691 4.2766 0.0000
0.0000 0.0000 16.0690
Hf Fe
8 16
Direct
0.0000 0.0000 0.0942 Hf
0.0000 0.0000 0.4058 Hf
0.0000 0.0000 0.5942 Hf
0.0000 0.0000 0.9058 Hf
0.3333 0.6667 0.1562 Hf
0.3333 0.6667 0.3438 Hf
0.6667 0.3333 0.6562 Hf
0.6667 0.3333 0.8438 Hf
0.0000 0.5000 0.0000 Fe
0.0000 0.5000 0.5000 Fe
0.1650 0.3300 0.7500 Fe
0.1650 0.8350 0.7500 Fe
0.3300 0.1650 0.2500 Fe
0.3333 0.6667 0.6252 Fe
0.3333 0.6667 0.8748 Fe
0.5000 0.0000 0.0000 Fe
0.5000 0.0000 0.5000 Fe
0.5000 0.5000 0.0000 Fe
0.5000 0.5000 0.5000 Fe
0.6667 0.3333 0.1252 Fe
0.6667 0.3333 0.3748 Fe
0.6700 0.8350 0.7500 Fe
0.8350 0.1650 0.2500 Fe
0.8350 0.6700 0.2500 Fe
```

Properties
Calculated formation energy   -1.0 eV/f.u.
SG   P6_3/mmc, No. 194

Computed, not measured: a relaxed structure of HfFe2 at the PBE-GGA level of DFT.

```
HfFe2
1.0
4.9460 0.0000 0.0000
-2.4730 4.2833 0.0000
0.0000 0.0000 8.0414
Hf Fe
4 8
Direct
0.3333 0.6667 0.0625 Hf
0.3333 0.6667 0.4375 Hf
0.6667 0.3333 0.5625 Hf
0.6667 0.3333 0.9375 Hf
0.0000 0.0000 0.0000 Fe
0.0000 0.0000 0.5000 Fe
0.1685 0.3370 0.7500 Fe
0.1685 0.8315 0.7500 Fe
0.3370 0.1685 0.2500 Fe
0.6630 0.8315 0.7500 Fe
0.8315 0.1685 0.2500 Fe
0.8315 0.6630 0.2500 Fe
```

Properties
Calculated formation energy   -1.0 eV/f.u.
SG   P6_3/mmc, No. 194

Computed, not measured: a relaxed structure of HfFe2 at the PBE-GGA level of DFT.

```
HfFe2
1.0
0.0000 3.4972 3.4972
3.4972 0.0000 3.4972
3.4972 3.4972 0.0000
Hf Fe
2 4
Direct
0.1250 0.1250 0.1250 Hf
0.8750 0.8750 0.8750 Hf
0.0000 0.5000 0.5000 Fe
0.5000 0.0000 0.5000 Fe
0.5000 0.5000 0.0000 Fe
0.5000 0.5000 0.5000 Fe
```

Properties
Calculated formation energy   -1.0 eV/f.u.
SG   Fd-3m, No. 227

Computed, not measured: a relaxed structure of Hf4Fe at the PBE-GGA level of DFT.

```
Hf4Fe
1.0
0.0000 4.7976 4.7976
4.7976 0.0000 4.7976
4.7976 4.7976 0.0000
Hf Fe
8 2
Direct
0.2071 0.7643 0.7643 Hf
0.2357 0.2357 0.2357 Hf
0.2357 0.2357 0.7929 Hf
0.2357 0.7929 0.2357 Hf
0.7643 0.2071 0.7643 Hf
0.7643 0.7643 0.2071 Hf
0.7643 0.7643 0.7643 Hf
0.7929 0.2357 0.2357 Hf
0.3750 0.3750 0.3750 Fe
0.6250 0.6250 0.6250 Fe
```

Properties
Total moment   0.07 μB per formula unit
Calculated formation energy   3.1 eV/f.u.
SG   Fd-3m, No. 227

Computed, not measured: a relaxed structure of HfMg6Fe at the PBE-GGA level of DFT.

```
HfMg6Fe
1.0
4.9791 0.0000 0.0000
0.0000 5.8988 0.0000
0.0000 0.0000 11.2120
Mg Hf Fe
12 2 2
Direct
0.5000 0.2516 0.4254 Mg
0.0000 0.0000 0.8296 Mg
0.5000 0.2484 0.9254 Mg
0.0000 0.7545 0.0836 Mg
0.5000 0.7484 0.4254 Mg
0.0000 0.0000 0.3115 Mg
0.0000 0.5000 0.3296 Mg
0.0000 0.7455 0.5836 Mg
0.5000 0.7516 0.9254 Mg
0.0000 0.2545 0.5836 Mg
0.0000 0.5000 0.8115 Mg
0.0000 0.2455 0.0836 Mg
0.5000 0.0000 0.6770 Hf
0.5000 0.5000 0.1770 Hf
0.5000 0.5000 0.6640 Fe
0.5000 0.0000 0.1640 Fe
```

Properties
Total moment   1.75 μB per formula unit
Calculated formation energy   1.7 eV/f.u.

Computed, not measured: a relaxed structure of HfMg14Fe at the PBE-GGA level of DFT.

```
HfMg14Fe
1.0
6.2913 0.0000 0.0000
-3.1456 5.4484 0.0000
0.0000 0.0000 10.0531
Hf Mg Fe
1 14 1
Direct
0.0000 0.0000 0.0000 Hf
0.0088 0.5044 0.0000 Mg
0.1588 0.3176 0.2627 Mg
0.1588 0.3176 0.7373 Mg
0.1588 0.8412 0.2627 Mg
0.1588 0.8412 0.7373 Mg
0.4956 0.5044 0.0000 Mg
0.4956 0.9912 0.0000 Mg
0.5018 0.0037 0.5000 Mg
0.5018 0.4982 0.5000 Mg
0.6667 0.3333 0.2426 Mg
0.6667 0.3333 0.7574 Mg
0.6824 0.8412 0.2627 Mg
0.6824 0.8412 0.7373 Mg
0.9963 0.4982 0.5000 Mg
0.0000 0.0000 0.5000 Fe
```

Properties
Total moment   0.06 μB per formula unit
Calculated formation energy   2.7 eV/f.u.
SG   P-6m2, No. 187

Computed, not measured: a relaxed structure of HfMg6Fe at the PBE-GGA level of DFT.

```
HfMg6Fe
1.0
4.7674 0.0000 0.0000
0.0000 6.0687 0.0000
0.0000 0.0000 11.0777
Mg Fe Hf
12 2 2
Direct
0.0000 0.2437 0.5799 Mg
0.0000 0.5000 0.8272 Mg
0.5000 0.2416 0.9254 Mg
0.0000 0.0000 0.3272 Mg
0.5000 0.0000 0.1668 Mg
0.5000 0.7416 0.4254 Mg
0.5000 0.7584 0.9254 Mg
0.0000 0.2563 0.0799 Mg
0.5000 0.5000 0.6668 Mg
0.0000 0.7563 0.5799 Mg
0.0000 0.7437 0.0799 Mg
0.5000 0.2584 0.4254 Mg
0.0000 0.5000 0.3018 Fe
0.0000 0.0000 0.8018 Fe
0.5000 0.0000 0.6936 Hf
0.5000 0.5000 0.1936 Hf
```

Properties
Total moment   1.66 μB per formula unit
Calculated formation energy   1.4 eV/f.u.

Computed, not measured: a relaxed structure of HfMg14Fe at the PBE-GGA level of DFT.

```
HfMg14Fe
1.0
10.0752 0.0000 0.0000
0.0000 3.0438 5.5594
0.0000 -3.0438 5.5594
Hf Mg Fe
1 14 1
Direct
0.0000 0.0000 0.0000 Hf
0.0000 0.0070 0.4908 Mg
0.0000 0.4908 0.0070 Mg
0.2271 0.6424 0.6424 Mg
0.2392 0.1608 0.6532 Mg
0.2392 0.6532 0.1608 Mg
0.2544 0.1515 0.1515 Mg
0.5000 0.4916 0.4916 Mg
0.5000 0.4952 0.9885 Mg
0.5000 0.9885 0.9885 Mg
0.5000 0.9885 0.4952 Mg
0.7456 0.1515 0.1515 Mg
0.7608 0.1608 0.6532 Mg
0.7608 0.6532 0.1608 Mg
0.7729 0.6424 0.6424 Mg
0.0000 0.4892 0.4892 Fe
```

Properties
Total moment   0.01 μB per formula unit
Calculated formation energy   2.0 eV/f.u.
SG   Amm2, No. 38

Computed, not measured: a relaxed structure of Hf9FeMo4 at the PBE-GGA level of DFT.

```
Hf9FeMo4
1.0
8.6664 0.0000 0.0000
-4.3332 7.5053 0.0000
0.0000 0.0000 8.4267
Hf Fe Mo
18 2 8
Direct
0.0804 0.5402 0.2500 Hf
0.2018 0.4037 0.5572 Hf
0.2018 0.4037 0.9428 Hf
0.2018 0.7982 0.5572 Hf
0.2018 0.7982 0.9428 Hf
0.4037 0.2018 0.0572 Hf
0.4037 0.2018 0.4428 Hf
0.4598 0.5402 0.2500 Hf
0.4598 0.9196 0.2500 Hf
0.5402 0.0804 0.7500 Hf
0.5402 0.4598 0.7500 Hf
0.5963 0.7982 0.5572 Hf
0.5963 0.7982 0.9428 Hf
0.7982 0.2018 0.0572 Hf
0.7982 0.2018 0.4428 Hf
0.7982 0.5963 0.0572 Hf
0.7982 0.5963 0.4428 Hf
0.9196 0.4598 0.7500 Hf
0.3333 0.6667 0.7500 Fe
0.6667 0.3333 0.2500 Fe
0.0000 0.0000 0.0000 Mo
0.0000 0.0000 0.5000 Mo
0.1128 0.2257 0.2500 Mo
0.1128 0.8872 0.2500 Mo
0.2257 0.1128 0.7500 Mo
0.7743 0.8872 0.2500 Mo
0.8872 0.1128 0.7500 Mo
0.8872 0.7743 0.7500 Mo
```

Properties
Total moment   0.00 μB per formula unit
Calculated formation energy   -2.0 eV/f.u.
SG   P6_3/mmc, No. 194